(1)
{"formula": "Li7W5O16", "functional": "PBE+U", "state": "optimized geometry", "lattice": [[5.223, -2.922, 0.000], [5.223, 2.922, 0.000], [-0.064, 0.000, 9.918]], "species": ["Li", "Li", "Li", "Li", "Li", "Li", "Li", "W", "W", "W", "W", "W", "O", "O", "O", "O", "O", "O", "O", "O", "O", "O", "O", "O", "O", "O", "O", "O"], "frac_coords": [[0.000, 0.000, 0.000], [0.007, 0.007, 0.506], [0.183, 0.671, 0.727], [0.335, 0.335, 0.425], [0.671, 0.183, 0.727], [0.677, 0.677, 0.914], [0.848, 0.848, 0.234], [0.186, 0.186, 0.743], [0.356, 0.356, 0.992], [0.376, 0.820, 0.227], [0.680, 0.680, 0.516], [0.820, 0.376, 0.227], [0.016, 0.016, 0.318], [0.019, 0.019, 0.811], [0.036, 0.486, 0.868], [0.180, 0.180, 0.114], [0.220, 0.657, 0.115], [0.324, 0.324, 0.627], [0.360, 0.849, 0.609], [0.486, 0.036, 0.868], [0.489, 0.489, 0.878], [0.513, 0.955, 0.361], [0.521, 0.521, 0.374], [0.657, 0.220, 0.115], [0.689, 0.689, 0.107], [0.837, 0.837, 0.588], [0.849, 0.360, 0.609], [0.955, 0.513, 0.361]], "vol_a3_per_atom": 10.81, "magnetic_moment_mub_per_fu": 5.000, "space_group": "Cm (8)"}

=====

(2)
{"formula": "Li7W5O16", "functional": "PBE+U", "state": "optimized geometry", "lattice": [[6.044, 0.000, 0.000], [-2.979, 5.270, 0.000], [-0.006, -0.035, 9.921]], "species": ["Li", "Li", "Li", "Li", "Li", "Li", "Li", "W", "W", "W", "W", "W", "O", "O", "O", "O", "O", "O", "O", "O", "O", "O", "O", "O", "O", "O", "O", "O"], "frac_coords": [[0.000, 0.000, 0.000], [0.011, 0.504, 0.189], [0.173, 0.334, 0.503], [0.320, 0.186, 0.267], [0.339, 0.180, 0.785], [0.514, 0.514, 0.001], [0.663, 0.842, 0.701], [0.013, 0.507, 0.782], [0.166, 0.827, 0.500], [0.514, 0.000, 0.010], [0.679, 0.337, 0.500], [0.696, 0.832, 0.263], [0.007, 0.498, 0.391], [0.015, 0.996, 0.379], [0.162, 0.344, 0.860], [0.172, 0.820, 0.877], [0.287, 0.661, 0.639], [0.343, 0.168, 0.599], [0.347, 0.169, 0.080], [0.375, 0.710, 0.143], [0.522, 0.009, 0.387], [0.543, 0.509, 0.390], [0.658, 0.854, 0.897], [0.693, 0.337, 0.874], [0.810, 0.140, 0.141], [0.820, 0.686, 0.147], [0.840, 0.220, 0.632], [0.845, 0.649, 0.635]], "vol_a3_per_atom": 11.29, "magnetic_moment_mub_per_fu": 5.000, "space_group": "P1 (1)"}

=====

Which is the most stable structure? (2) is the most stable.

=====

(1)
{"formula": "RbLuW2O8", "functional": "PBE+U", "state": "optimized geometry", "lattice": [[5.449, -5.244, 0.000], [5.449, 5.244, 0.000], [-4.819, 0.000, 5.698]], "species": ["Rb", "Rb", "Lu", "Lu", "W", "W", "W", "W", "O", "O", "O", "O", "O", "O", "O", "O", "O", "O", "O", "O", "O", "O", "O", "O"], "frac_coords": [[0.200, 0.800, 0.750], [0.800, 0.200, 0.250], [0.223, 0.777, 0.250], [0.777, 0.223, 0.750], [0.299, 0.309, 0.284], [0.309, 0.299, 0.784], [0.691, 0.701, 0.216], [0.701, 0.691, 0.716], [0.040, 0.222, 0.695], [0.053, 0.364, 0.116], [0.222, 0.040, 0.195], [0.244, 0.379, 0.559], [0.364, 0.053, 0.616], [0.371, 0.595, 0.039], [0.379, 0.244, 0.059], [0.405, 0.629, 0.461], [0.595, 0.371, 0.539], [0.621, 0.756, 0.941], [0.629, 0.405, 0.961], [0.636, 0.947, 0.384], [0.756, 0.621, 0.441], [0.778, 0.960, 0.805], [0.947, 0.636, 0.884], [0.960, 0.778, 0.305]], "vol_a3_per_atom": 13.57, "space_group": "C2/c (15)"}

=====

(2)
{"formula": "RbLuW2O8", "functional": "PBE+U", "state": "optimized geometry", "lattice": [[6.050, 0.000, 0.000], [-3.025, 5.239, 0.000], [0.000, 0.000, 8.016]], "species": ["Rb", "Lu", "W", "W", "O", "O", "O", "O", "O", "O", "O", "O"], "frac_coords": [[0.000, 0.000, 0.000], [0.000, 0.000, 0.500], [0.333, 0.667, 0.266], [0.667, 0.333, 0.734], [0.168, 0.335, 0.337], [0.168, 0.832, 0.337], [0.333, 0.667, 0.045], [0.335, 0.168, 0.663], [0.665, 0.832, 0.337], [0.667, 0.333, 0.955], [0.832, 0.168, 0.663], [0.832, 0.665, 0.663]], "vol_a3_per_atom": 21.17, "magnetic_moment_mub_per_fu": 0.001, "space_group": "P-3m1 (164)"}

=====

Which is the most stable structure? (1) is the most stable.